Record 1
## VCr2O4 (PBE+U)

Data for a relaxed structure of VCr2O4.

Geometry as POSCAR:
```
VCr2O4
1.0
2.769 5.381 -0.572
-6.065 -0.313 0.368
-2.683 -1.431 5.319
V Cr O
2 4 8
direct
0.115 0.365 0.365 V
0.880 0.631 0.627 V
0.500 0.000 0.501 Cr
0.997 0.998 0.999 Cr
0.501 0.504 0.997 Cr
0.500 0.999 0.999 Cr
0.261 0.246 0.772 O
0.770 0.229 0.803 O
0.257 0.238 0.237 O
0.718 0.243 0.233 O
0.291 0.760 0.773 O
0.742 0.767 0.767 O
0.231 0.754 0.213 O
0.735 0.765 0.214 O
```

symmetry: P1, No. 1
E above lowest polymorph: 14 meV/atom

---

Record 2
## V4Cr2O13 (PBE+U)

Data for a relaxed structure of V4Cr2O13.

Geometry as POSCAR:
```
V4Cr2O13
1.0
-1.620 4.649 8.020
-8.200 -2.565 -0.170
0.088 -12.730 7.396
V Cr O
16 8 52
direct
0.758 0.880 0.927 V
0.277 0.714 0.842 V
0.695 0.792 0.661 V
0.742 0.880 0.427 V
0.746 0.492 0.927 V
0.223 0.714 0.342 V
0.805 0.792 0.161 V
0.246 0.508 0.573 V
0.754 0.492 0.427 V
0.195 0.208 0.839 V
0.777 0.286 0.658 V
0.254 0.508 0.073 V
0.258 0.120 0.573 V
0.305 0.208 0.339 V
0.723 0.286 0.158 V
0.242 0.120 0.073 V
0.998 0.944 0.724 Cr
0.502 0.944 0.224 Cr
0.002 0.570 0.740 Cr
0.502 0.430 0.760 Cr
0.498 0.570 0.240 Cr
0.998 0.430 0.260 Cr
0.498 0.056 0.776 Cr
0.002 0.056 0.276 Cr
0.619 0.007 0.892 O
0.888 0.906 0.845 O
0.358 0.892 0.837 O
0.614 0.899 0.729 O
0.881 0.007 0.392 O
0.669 0.890 0.539 O
0.686 0.681 0.944 O
0.119 0.748 0.773 O
0.882 0.770 0.685 O
0.612 0.906 0.345 O
0.213 0.634 0.960 O
0.142 0.892 0.337 O
0.886 0.899 0.229 O
0.384 0.587 0.804 O
0.892 0.531 0.858 O
0.629 0.602 0.688 O
0.831 0.890 0.039 O
0.814 0.681 0.444 O
0.381 0.748 0.273 O
0.618 0.770 0.185 O
0.115 0.591 0.624 O
0.287 0.634 0.460 O
0.615 0.409 0.876 O
0.129 0.398 0.812 O
0.392 0.469 0.642 O
0.116 0.587 0.304 O
0.884 0.413 0.696 O
0.608 0.531 0.358 O
0.871 0.602 0.188 O
0.385 0.591 0.124 O
0.713 0.366 0.540 O
0.885 0.409 0.376 O
0.382 0.230 0.815 O
0.619 0.252 0.727 O
0.186 0.319 0.556 O
0.169 0.110 0.961 O
0.371 0.398 0.312 O
0.108 0.469 0.142 O
0.616 0.413 0.196 O
0.114 0.101 0.771 O
0.858 0.108 0.663 O
0.787 0.366 0.040 O
0.388 0.094 0.655 O
0.118 0.230 0.315 O
0.881 0.252 0.227 O
0.314 0.319 0.056 O
0.331 0.110 0.461 O
0.119 0.993 0.608 O
0.386 0.101 0.271 O
0.642 0.108 0.163 O
0.112 0.094 0.155 O
0.381 0.993 0.108 O
```

symmetry: P2_1/c, No. 14
E above lowest polymorph: 7 meV/atom

---

Record 3
## VCr2O6 (PBE+U)

Data for a relaxed structure of VCr2O6.

Geometry as POSCAR:
```
VCr2O6
1.0
4.553 0.000 0.000
0.000 4.553 0.000
0.000 0.000 8.857
V Cr O
2 4 12
direct
0.000 0.000 0.000 V
0.500 0.500 0.500 V
0.000 0.000 0.334 Cr
0.000 0.000 0.666 Cr
0.500 0.500 0.166 Cr
0.500 0.500 0.834 Cr
0.195 0.805 0.160 O
0.200 0.800 0.500 O
0.195 0.805 0.840 O
0.300 0.300 0.000 O
0.305 0.305 0.340 O
0.305 0.305 0.660 O
0.700 0.700 0.000 O
0.695 0.695 0.340 O
0.695 0.695 0.660 O
0.805 0.195 0.160 O
0.800 0.200 0.500 O
0.805 0.195 0.840 O
```

symmetry: P4_2/mnm, No. 136
E above lowest polymorph: 0 meV/atom

---

Record 4
## VCr2O6 (PBE+U)

Data for a relaxed structure of VCr2O6.

Geometry as POSCAR:
```
VCr2O6
1.0
-4.472 2.576 0.337
-2.600 -4.227 -2.189
-2.089 -5.289 12.692
V Cr O
4 8 24
direct
0.750 0.658 0.000 V
0.750 0.158 0.500 V
0.250 0.342 0.000 V
0.250 0.842 0.500 V
0.009 0.858 0.174 Cr
0.009 0.358 0.326 Cr
0.991 0.642 0.674 Cr
0.991 0.142 0.826 Cr
0.509 0.642 0.326 Cr
0.491 0.358 0.674 Cr
0.509 0.142 0.174 Cr
0.491 0.858 0.826 Cr
0.937 0.890 0.570 O
0.809 0.383 0.593 O
0.809 0.883 0.907 O
0.937 0.390 0.930 O
0.847 0.630 0.260 O
0.847 0.130 0.240 O
0.653 0.630 0.740 O
0.653 0.130 0.760 O
0.691 0.883 0.093 O
0.563 0.390 0.070 O
0.563 0.890 0.430 O
0.691 0.383 0.407 O
0.309 0.617 0.593 O
0.437 0.110 0.570 O
0.437 0.610 0.930 O
0.309 0.117 0.907 O
0.347 0.870 0.240 O
0.347 0.370 0.260 O
0.153 0.870 0.760 O
0.153 0.370 0.740 O
0.191 0.117 0.093 O
0.063 0.110 0.430 O
0.191 0.617 0.407 O
0.063 0.610 0.070 O
```

symmetry: Pbcn, No. 60
E above lowest polymorph: 32 meV/atom

---

Record 5
## V16CrO41 (PBE+U)

Data for a relaxed structure of V16CrO41.

Geometry as POSCAR:
```
V16CrO41
1.0
-9.820 3.011 5.497
-7.877 -4.988 -11.338
-0.181 -4.168 1.959
V Cr O
16 1 41
direct
0.101 0.312 0.111 V
0.101 0.064 0.108 V
0.101 0.561 0.108 V
0.101 0.812 0.117 V
0.399 0.064 0.108 V
0.399 0.312 0.111 V
0.399 0.561 0.108 V
0.399 0.812 0.117 V
0.600 0.190 0.890 V
0.600 0.435 0.890 V
0.591 0.945 0.874 V
0.591 0.680 0.874 V
0.909 0.945 0.874 V
0.900 0.190 0.890 V
0.900 0.435 0.890 V
0.909 0.680 0.874 V
0.750 0.812 0.135 Cr
0.068 0.686 0.003 O
0.069 0.189 0.008 O
0.069 0.436 0.008 O
0.068 0.939 0.003 O
0.105 0.064 0.458 O
0.104 0.312 0.461 O
0.105 0.561 0.458 O
0.101 0.812 0.468 O
0.250 0.561 0.001 O
0.250 0.064 0.001 O
0.250 0.312 0.003 O
0.250 0.812 0.021 O
0.395 0.064 0.458 O
0.396 0.312 0.461 O
0.395 0.561 0.458 O
0.399 0.812 0.468 O
0.431 0.436 0.008 O
0.431 0.189 0.008 O
0.432 0.686 0.003 O
0.432 0.939 0.003 O
0.591 0.812 0.998 O
0.569 0.067 0.995 O
0.568 0.312 0.994 O
0.569 0.558 0.995 O
0.594 0.948 0.524 O
0.604 0.189 0.540 O
0.604 0.436 0.540 O
0.594 0.677 0.524 O
0.750 0.812 0.480 O
0.750 0.934 0.990 O
0.750 0.189 0.996 O
0.750 0.436 0.996 O
0.750 0.691 0.990 O
0.906 0.948 0.524 O
0.896 0.189 0.540 O
0.896 0.436 0.540 O
0.906 0.677 0.524 O
0.909 0.812 0.998 O
0.931 0.067 0.995 O
0.932 0.312 0.994 O
0.931 0.558 0.995 O
```

symmetry: Pmm2, No. 25

---

Record 6
## Cr3WO8 (PBE+U)

Data for a relaxed structure of Cr3WO8.

Geometry as POSCAR:
```
Cr3WO8
1.0
-0.677 -3.667 4.688
5.163 0.057 -3.037
3.215 6.548 5.586
Cr W O
6 2 16
direct
0.170 0.830 0.214 Cr
0.170 0.341 0.214 Cr
0.659 0.830 0.214 Cr
0.341 0.170 0.714 Cr
0.830 0.659 0.714 Cr
0.830 0.170 0.714 Cr
0.333 0.667 0.494 W
0.667 0.333 0.994 W
0.175 0.825 0.596 O
0.048 0.524 0.343 O
0.333 0.667 0.109 O
0.000 0.000 0.296 O
0.000 0.000 0.796 O
0.175 0.349 0.596 O
0.476 0.952 0.343 O
0.476 0.524 0.343 O
0.349 0.175 0.096 O
0.651 0.825 0.596 O
0.524 0.476 0.843 O
0.524 0.048 0.843 O
0.667 0.333 0.609 O
0.825 0.651 0.096 O
0.952 0.476 0.843 O
0.825 0.175 0.096 O
```

symmetry: P6_3mc, No. 186

---

Record 7
## Cr2W3O12 (PBE+U)

Data for a relaxed structure of Cr2W3O12.

Geometry as POSCAR:
```
Cr2W3O12
1.0
-9.548 0.343 -1.601
-5.710 -7.824 -0.143
-6.658 -1.920 6.770
Cr W O
4 6 24
direct
0.141 0.141 0.141 Cr
0.353 0.353 0.353 Cr
0.647 0.647 0.647 Cr
0.859 0.859 0.859 Cr
0.969 0.250 0.535 W
0.465 0.031 0.750 W
0.750 0.465 0.031 W
0.250 0.535 0.969 W
0.535 0.969 0.250 W
0.031 0.750 0.465 W
0.006 0.197 0.362 O
0.884 0.093 0.747 O
0.907 0.253 0.116 O
0.638 0.994 0.803 O
0.810 0.474 0.519 O
0.511 0.182 0.223 O
0.481 0.190 0.526 O
0.777 0.489 0.818 O
0.803 0.638 0.994 O
0.253 0.116 0.907 O
0.818 0.777 0.489 O
0.526 0.481 0.190 O
0.474 0.519 0.810 O
0.182 0.223 0.511 O
0.747 0.884 0.093 O
0.197 0.362 0.006 O
0.223 0.511 0.182 O
0.519 0.810 0.474 O
0.489 0.818 0.777 O
0.190 0.526 0.481 O
0.362 0.006 0.197 O
0.093 0.747 0.884 O
0.116 0.907 0.253 O
0.994 0.803 0.638 O
```

symmetry: R-3, No. 148
E above lowest polymorph: 5 meV/atom

---

Record 8
## CrW2O8 (PBE+U)

Data for a relaxed structure of CrW2O8.

Geometry as POSCAR:
```
CrW2O8
1.0
-3.986 3.787 1.774
-0.063 -2.187 4.529
6.638 3.566 7.303
Cr W O
2 4 16
direct
0.347 0.500 0.750 Cr
0.653 0.500 0.250 Cr
0.171 0.266 0.492 W
0.171 0.734 0.008 W
0.829 0.734 0.508 W
0.829 0.266 0.992 W
0.341 0.710 0.862 O
0.341 0.290 0.638 O
0.659 0.290 0.138 O
0.659 0.710 0.362 O
0.890 0.189 0.391 O
0.890 0.811 0.109 O
0.110 0.811 0.609 O
0.110 0.189 0.891 O
0.593 0.253 0.879 O
0.593 0.747 0.621 O
0.407 0.747 0.121 O
0.407 0.253 0.379 O
0.891 0.677 0.888 O
0.109 0.323 0.112 O
0.891 0.323 0.612 O
0.109 0.677 0.388 O
```

symmetry: P2/c, No. 13
E above lowest polymorph: 0 meV/atom

---

Record 9
## Cr2W3O12 (PBE+U)

Data for a relaxed structure of Cr2W3O12.

Geometry as POSCAR:
```
Cr2W3O12
1.0
-0.547 4.596 8.225
-0.712 -8.303 4.592
13.033 -0.488 1.139
Cr W O
8 12 48
direct
0.250 0.037 0.621 Cr
0.750 0.037 0.879 Cr
0.750 0.463 0.121 Cr
0.250 0.463 0.379 Cr
0.250 0.537 0.879 Cr
0.750 0.537 0.621 Cr
0.250 0.963 0.121 Cr
0.750 0.963 0.379 Cr
0.397 0.114 0.355 W
0.897 0.114 0.145 W
0.470 0.250 0.000 W
0.970 0.250 0.500 W
0.397 0.386 0.645 W
0.897 0.386 0.855 W
0.103 0.614 0.145 W
0.603 0.614 0.355 W
0.530 0.750 0.000 W
0.030 0.750 0.500 W
0.103 0.886 0.855 W
0.603 0.886 0.645 W
0.181 0.002 0.762 O
0.681 0.002 0.738 O
0.825 0.071 0.020 O
0.325 0.071 0.480 O
0.087 0.092 0.146 O
0.587 0.092 0.354 O
0.361 0.126 0.069 O
0.861 0.126 0.431 O
0.082 0.161 0.592 O
0.582 0.161 0.908 O
0.859 0.203 0.828 O
0.359 0.203 0.672 O
0.859 0.297 0.172 O
0.359 0.297 0.328 O
0.582 0.339 0.092 O
0.082 0.339 0.408 O
0.861 0.374 0.569 O
0.361 0.374 0.931 O
0.587 0.408 0.646 O
0.087 0.408 0.854 O
0.325 0.429 0.520 O
0.825 0.429 0.980 O
0.681 0.498 0.262 O
0.181 0.498 0.238 O
0.319 0.502 0.738 O
0.819 0.502 0.762 O
0.175 0.571 0.020 O
0.675 0.571 0.480 O
0.413 0.592 0.354 O
0.913 0.592 0.146 O
0.639 0.626 0.069 O
0.139 0.626 0.431 O
0.418 0.661 0.908 O
0.918 0.661 0.592 O
0.641 0.703 0.672 O
0.141 0.703 0.828 O
0.141 0.797 0.172 O
0.641 0.797 0.328 O
0.918 0.839 0.408 O
0.418 0.839 0.092 O
0.639 0.874 0.931 O
0.139 0.874 0.569 O
0.913 0.908 0.854 O
0.413 0.908 0.646 O
0.175 0.929 0.980 O
0.675 0.929 0.520 O
0.819 0.998 0.238 O
0.319 0.998 0.262 O
```

symmetry: Pbcn, No. 60
E above lowest polymorph: 0 meV/atom

---

Record 10
## CrW3O12 (PBE+U)

Data for a relaxed structure of CrW3O12.

Geometry as POSCAR:
```
CrW3O12
1.0
-4.684 1.835 -1.570
0.768 -2.199 -4.857
-3.310 -6.274 2.545
Cr W O
1 3 12
direct
0.502 0.560 0.469 Cr
0.999 0.995 0.005 W
0.010 0.057 0.503 W
0.492 0.496 0.969 W
0.297 0.226 0.463 O
0.067 0.992 0.750 O
0.286 0.781 0.039 O
0.228 0.713 0.456 O
0.784 0.707 0.965 O
0.421 0.501 0.738 O
0.578 0.508 0.259 O
0.212 0.283 0.036 O
0.786 0.302 0.538 O
0.709 0.209 0.967 O
0.927 0.995 0.254 O
0.702 0.784 0.533 O
```

symmetry: P1, No. 1

---

Formation enthalpy at 0 K, respectively: -2.2171; -2.3548; -2.2132; -2.1809; -2.2400; -2.1437; -2.1701; -1.9980; -2.1749; -1.9474 eV/atom.